1.
# Tl5C4O6

A relaxed structure of Tl5C4O6 (PBE, the Materials Project database).

Results
**VASP energy**: -5.79 eV per atom
**Energy of formation**: -841 meV per atom

Cell lengths 9.626, 9.626, 12.774 Å; angles 90.00, 90.00, 103.97 degrees
Atoms (fractional coordinates):
O 0.583 0.733 0.518
O 0.733 0.583 0.518
Tl 0.740 0.740 0.208
O 0.417 0.267 0.482
Tl 0.363 0.675 0.342
Tl 0.325 0.637 0.658
Tl 0.137 0.825 0.842
O 0.461 0.611 0.150
Tl 0.637 0.325 0.658
O 0.412 0.412 0.620
Tl 0.675 0.363 0.342
Tl 0.184 0.500 0.032
C 0.460 0.028 0.221
Tl 0.863 0.175 0.158
Tl 0.316 0.000 0.532
O 0.961 0.111 0.350
Tl 0.240 0.240 0.292
Tl 0.000 0.316 0.532
Tl 0.760 0.760 0.708
C 0.135 0.135 0.027
O 0.386 0.386 0.088
O 0.539 0.389 0.850
O 0.088 0.088 0.120
C 0.865 0.865 0.973
O 0.267 0.417 0.482
O 0.767 0.917 0.018
O 0.233 0.083 0.982
C 0.472 0.040 0.721
Tl 0.684 0.000 0.468
C 0.365 0.365 0.527
O 0.886 0.886 0.412
O 0.083 0.233 0.982
C 0.635 0.635 0.473
Tl 0.825 0.137 0.842
O 0.039 0.889 0.650
O 0.111 0.961 0.350
O 0.614 0.614 0.912
Tl 0.500 0.816 0.968
Tl 0.500 0.184 0.032
O 0.114 0.114 0.588
O 0.917 0.767 0.018
C 0.040 0.472 0.721
O 0.588 0.588 0.380
Tl 0.260 0.260 0.792
Tl 0.816 0.500 0.968
C 0.028 0.460 0.221
C 0.540 0.972 0.779
Tl 0.175 0.863 0.158
C 0.972 0.540 0.779
O 0.889 0.039 0.650
C 0.528 0.960 0.279
O 0.611 0.461 0.150
C 0.960 0.528 0.279
O 0.912 0.912 0.880
C 0.013 0.013 0.630
C 0.987 0.987 0.370
C 0.487 0.487 0.130
O 0.389 0.539 0.850
C 0.513 0.513 0.870
Tl 0.000 0.684 0.468


2.
# Tl4CO5

A relaxed structure of Tl4CO5 (PBE, the Materials Project database).

Results
**VASP energy**: -5.08 eV per atom
**Energy above the lowest structure with this stoichiometry**: 11 meV/atom
**Energy of formation**: -1082 meV per atom

Cell lengths 8.049, 8.049, 8.333 Å; angles 90.00, 90.00, 101.37 degrees
Atoms (fractional coordinates):
O 0.084 0.600 0.118
C 0.063 0.937 0.747
Tl 0.670 0.814 0.566
C 0.937 0.063 0.247
O 0.003 0.218 0.291
O 0.997 0.782 0.791
Tl 0.781 0.219 0.843
Tl 0.814 0.670 0.066
O 0.976 0.024 0.662
O 0.218 0.003 0.791
Tl 0.219 0.781 0.343
O 0.782 0.997 0.291
Tl 0.330 0.186 0.066
O 0.400 0.916 0.118
Tl 0.763 0.237 0.455
O 0.024 0.976 0.162
O 0.600 0.084 0.618
Tl 0.237 0.763 0.955
O 0.916 0.400 0.618
Tl 0.186 0.330 0.566